Compound: Mg6NbCoO8
Source: Materials Project
Functional: PBE+U
Structure: relaxed

Properties
Magnetic moment, μB/f.u.: 2.01
E_form, eV/atom: -2.5511
Volume, Å³ per cell: 162.0
Total DFT energy (no corrections), eV/cell: -100.08

Structure (extended XYZ):
```
16
Lattice="4.283 0.000 0.000 0.000 4.283 0.000 0.000 0.000 8.834" Properties=species:S:1:pos:R:3 pbc="T T T"
Mg 0.000 0.000 0.000
Mg 0.000 0.000 4.417
Mg 0.000 2.141 2.056
Mg 0.000 2.141 6.778
Mg 2.141 0.000 2.056
Mg 2.141 0.000 6.778
Nb 2.141 2.141 4.417
Co 2.141 2.141 0.000
O 0.000 0.000 2.230
O 0.000 0.000 6.604
O 0.000 2.141 0.000
O 0.000 2.141 4.417
O 2.141 0.000 0.000
O 2.141 0.000 4.417
O 2.141 2.141 2.253
O 2.141 2.141 6.580
```